[1]
# BaNb4O6, optimized geometry, DFT PBE
data_BaNb4O6
_symmetry_space_group_name_H-M 'P 4/m m m'
_symmetry_Int_Tables_number 123
_symmetry_space_group_name_Hall '-P 4 2'
_cell_length_a 4.243
_cell_length_b 4.243
_cell_length_c 8.301
_cell_angle_alpha 90.00
_cell_angle_beta 90.00
_cell_angle_gamma 90.00
loop_
_atom_site_label
_atom_site_type_symbol
_atom_site_fract_x
_atom_site_fract_y
_atom_site_fract_z
Ba1 Ba 0.000 0.000 0.000
Nb1 Nb 0.000 0.500 0.500
Nb2 Nb 0.500 0.500 0.254
O1 O 0.000 0.000 0.500
O2 O 0.000 0.500 0.243
O3 O 0.500 0.500 0.000
# **V**: 149.4 Å³/cell
# **Formation enthalpy at 0 K**: -2.7282 eV/atom

[2]
# Ti3H2O7, optimized geometry, DFT PBE
data_Ti3H2O7
_symmetry_space_group_name_H-M 'C 1 m 1'
_symmetry_Int_Tables_number 8
_symmetry_space_group_name_Hall 'C -2y'
_cell_length_a 16.197
_cell_length_b 3.782
_cell_length_c 9.297
_cell_angle_alpha 90.00
_cell_angle_beta 101.47
_cell_angle_gamma 90.00
loop_
_atom_site_label
_atom_site_type_symbol
_atom_site_fract_x
_atom_site_fract_y
_atom_site_fract_z
Ti1 Ti 0.000 0.000 0.000
Ti2 Ti 0.041 0.000 0.693
Ti3 Ti 0.101 0.000 0.390
Ti4 Ti 0.146 0.500 0.962
Ti5 Ti 0.196 0.500 0.663
Ti6 Ti 0.253 0.500 0.344
H1 H 0.327 0.500 0.965
H2 H 0.353 0.500 0.641
H3 H 0.374 0.500 0.144
H4 H 0.418 0.500 0.389
O1 O 0.008 0.000 0.494
O2 O 0.027 0.500 0.999
O3 O 0.041 0.000 0.208
O4 O 0.079 0.500 0.722
O5 O 0.114 0.000 0.927
O6 O 0.135 0.500 0.432
O7 O 0.167 0.000 0.636
O8 O 0.206 0.500 0.142
O9 O 0.222 0.000 0.355
O10 O 0.239 0.500 0.859
O11 O 0.295 0.500 0.579
O12 O 0.361 0.500 0.318
O13 O 0.383 0.500 0.039
O14 O 0.453 0.500 0.785
# **V**: 558.2 Å³/cell
# **Formation enthalpy at 0 K**: -2.9102 eV/atom